Entry 1:
First-principles (PBE) data for a relaxed Sr3Te4O11 crystal, as listed in the Materials Project.

a b c (Å): 7.6980 9.4564 9.7409
angles (deg): 98.43 110.03 100.97
Sites, in units of the cell vectors:
Sr (0.1387, 0.4215, 0.1774)
Sr (0.2933, 0.5395, 0.6174)
Sr (0.3099, 0.0333, 0.1198)
Sr (0.6901, 0.9667, 0.8802)
Sr (0.7067, 0.4605, 0.3826)
Sr (0.8613, 0.5785, 0.8226)
Te (0.0148, 0.7508, 0.2733)
Te (0.0723, 0.8564, 0.7023)
Te (0.4655, 0.1992, 0.5446)
Te (0.4984, 0.3076, 0.9602)
Te (0.5016, 0.6924, 0.0398)
Te (0.5345, 0.8008, 0.4554)
Te (0.9277, 0.1436, 0.2977)
Te (0.9852, 0.2492, 0.7267)
O (0.0098, 0.9428, 0.8604)
O (0.0271, 0.6459, 0.0994)
O (0.0481, 0.6054, 0.3866)
O (0.1716, 0.2841, 0.4029)
O (0.1902, 0.7210, 0.7998)
O (0.2947, 0.3570, 0.8077)
O (0.3049, 0.8617, 0.3356)
O (0.3947, 0.3160, 0.1100)
O (0.4319, 0.1001, 0.8947)
O (0.4386, 0.5949, 0.3724)
O (0.4754, 0.8050, 0.6264)
O (0.5246, 0.1950, 0.3736)
O (0.5614, 0.4051, 0.6276)
O (0.5681, 0.8999, 0.1053)
O (0.6053, 0.6840, 0.8900)
O (0.6951, 0.1383, 0.6644)
O (0.7053, 0.6430, 0.1923)
O (0.8098, 0.2790, 0.2002)
O (0.8284, 0.7159, 0.5971)
O (0.9519, 0.3946, 0.6134)
O (0.9729, 0.3541, 0.9006)
O (0.9902, 0.0572, 0.1396)

Calculated values
energy with MP2020 corrections	-6.26	eV/atom
E_tot	-5.84	eV/atom
energy of formation from the pure elements	-2.26	eV per atom


Entry 2:
First-principles (PBE) data for a relaxed Na4Cu2S3 crystal, as listed in the Materials Project.

a b c (Å): 19.4740 19.4740 19.4740
angles (deg): 151.70 151.70 40.45
Sites, in units of the cell vectors:
Na (0.0057, 0.7074, 0.7914)
Na (0.0381, 0.7881, 0.2500)
Na (0.1240, 0.8672, 0.7548)
Na (0.1250, 0.3750, 0.7500)
Na (0.1308, 0.3760, 0.2433)
Na (0.1331, 0.8831, 0.2500)
Na (0.2074, 0.9160, 0.7016)
Na (0.2831, 0.0331, 0.2500)
Na (0.2857, 0.4943, 0.2016)
Na (0.2881, 0.5381, 0.7500)
Na (0.3672, 0.1124, 0.7433)
Na (0.3750, 0.1250, 0.2500)
Na (0.3831, 0.6331, 0.7500)
Na (0.3876, 0.6308, 0.2548)
Na (0.4160, 0.2143, 0.7086)
Na (0.4669, 0.2169, 0.2500)
Na (0.5331, 0.7831, 0.7500)
Na (0.5840, 0.7857, 0.2914)
Na (0.6124, 0.3692, 0.7452)
Na (0.6169, 0.3669, 0.2500)
Na (0.6250, 0.8750, 0.7500)
Na (0.6328, 0.8876, 0.2567)
Na (0.7119, 0.4619, 0.2500)
Na (0.7143, 0.5057, 0.7984)
Na (0.7169, 0.9669, 0.7500)
Na (0.7926, 0.0840, 0.2984)
Na (0.8669, 0.1169, 0.7500)
Na (0.8692, 0.6240, 0.7567)
Na (0.8750, 0.6250, 0.2500)
Na (0.8760, 0.1328, 0.2452)
Na (0.9619, 0.2119, 0.7500)
Na (0.9943, 0.2926, 0.2086)
Cu (0.0495, 0.0741, 0.2113)
Cu (0.0527, 0.3476, 0.4922)
Cu (0.0605, 0.5527, 0.2051)
Cu (0.1524, 0.1446, 0.7051)
Cu (0.3383, 0.5495, 0.4754)
Cu (0.3554, 0.5605, 0.0078)
Cu (0.3629, 0.8383, 0.2887)
Cu (0.4259, 0.1371, 0.9754)
Cu (0.5741, 0.8629, 0.0246)
Cu (0.6371, 0.1617, 0.7113)
Cu (0.6446, 0.4395, 0.9922)
Cu (0.6617, 0.4505, 0.5246)
Cu (0.8476, 0.8554, 0.2949)
Cu (0.9395, 0.4473, 0.7949)
Cu (0.9473, 0.6524, 0.5078)
Cu (0.9505, 0.9259, 0.7887)
S (0.0693, 0.0739, 0.4710)
S (0.0962, 0.0959, 0.0269)
S (0.0983, 0.5693, 0.4954)
S (0.1029, 0.5983, 0.0290)
S (0.1902, 0.2519, 0.4530)
S (0.2372, 0.6902, 0.4383)
S (0.2481, 0.2011, 0.9383)
S (0.2989, 0.7372, 0.0470)
S (0.4041, 0.9309, 0.0002)
S (0.4261, 0.3971, 0.9954)
S (0.4307, 0.4038, 0.4998)
S (0.4309, 0.9307, 0.5269)
S (0.5691, 0.0693, 0.4731)
S (0.5693, 0.5962, 0.5002)
S (0.5739, 0.6029, 0.0046)
S (0.5959, 0.0691, 0.9998)
S (0.7011, 0.2628, 0.9530)
S (0.7519, 0.7989, 0.0617)
S (0.7628, 0.3098, 0.5617)
S (0.8098, 0.7481, 0.5470)
S (0.8971, 0.4017, 0.9710)
S (0.9017, 0.4307, 0.5046)
S (0.9038, 0.9041, 0.9731)
S (0.9307, 0.9261, 0.5290)

Calculated values
energy with MP2020 corrections	-3.86	eV/atom
E_tot	-3.69	eV/atom
energy of formation from the pure elements	-0.98	eV per atom